Below is an optimized crystal structure of Mg6BSbO8, with properties calculated at the GGA-PBE level.

Cell and atoms, written as extended XYZ:
```
16
Lattice="8.947 0.000 0.000 0.000 4.383 0.000 0.000 0.000 4.383" Properties=species:S:1:pos:R:3 pbc="T T T"
Mg 2.342 0.000 2.191
Mg 6.605 2.191 0.000
Mg 2.342 2.191 0.000
Mg 4.473 2.191 2.191
Mg 4.473 0.000 0.000
Mg 6.605 0.000 2.191
O 4.473 0.000 2.191
O 0.000 2.191 0.000
O 4.473 2.191 0.000
O 0.000 0.000 2.191
O 2.362 2.191 2.191
O 2.416 0.000 0.000
O 6.585 2.191 2.191
O 6.531 0.000 0.000
Sb 0.000 2.191 2.191
B 0.000 0.000 0.000
```

## Properties
Symmetry: P4/mmm
VASP energy, eV/cell: -89.74

Below is an optimized crystal structure of BeSe, with properties calculated at the GGA-PBE level.

Cell and atoms, written as extended XYZ:
```
4
Lattice="1.761 -3.051 0.000 1.761 3.051 0.000 0.000 0.000 5.553" Properties=species:S:1:pos:R:3 pbc="T T T"
Se 1.761 -1.017 4.165
Se 1.761 1.017 1.388
Be 0.000 0.000 0.000
Be 0.000 0.000 2.777
```

## Properties
Symmetry: P6_3/mmc
VASP energy, eV/cell: -15.65

Below is an optimized crystal structure of Pr6O11, with properties calculated at the GGA-PBE level.

Cell and atoms, written as extended XYZ:
```
68
Lattice="6.917 0.000 0.000 0.093 12.264 0.000 2.734 0.191 13.171" Properties=species:S:1:pos:R:3 pbc="T T T"
O 2.996 11.179 3.875
O 3.940 9.287 0.935
O 7.654 7.306 5.923
O 2.980 3.165 9.221
O 2.110 0.904 7.542
O 6.734 5.034 9.174
O 4.490 9.449 10.519
O 4.130 5.245 5.857
O 1.505 1.203 2.541
O 8.983 1.309 12.316
O 4.157 5.114 0.844
O 4.397 5.244 10.763
O 2.935 3.191 4.231
O 0.689 3.098 0.827
O 5.587 7.341 12.327
O 5.800 11.384 12.350
O 1.815 5.212 2.476
O 6.764 9.290 3.950
O 5.380 3.112 7.454
O 5.613 7.210 7.314
O 6.389 5.231 4.258
O 4.364 9.344 5.717
O 5.382 11.539 2.535
O 7.634 11.551 5.629
O 7.929 7.244 10.695
O 0.761 11.147 0.855
O 0.623 7.342 0.919
O 5.254 3.006 2.652
O 5.804 3.168 12.237
O 3.944 1.071 0.821
O 3.355 7.224 8.913
O 6.809 9.264 8.941
O 8.239 11.252 10.631
O 4.361 0.917 10.636
O 4.425 1.032 5.566
O 9.054 9.357 12.345
O 7.656 2.919 5.701
O 5.319 11.423 7.605
O 2.090 5.150 7.248
O 6.748 1.277 9.297
O 3.010 7.421 3.997
O 2.087 9.537 7.471
O 5.347 7.211 2.408
O 9.121 5.114 12.253
Pr 7.567 3.347 3.296
Pr 7.876 7.350 13.138
Pr 2.171 5.370 9.732
Pr 5.619 7.238 9.863
Pr 6.606 5.064 6.647
Pr 6.575 1.093 6.878
Pr 5.293 3.152 9.859
Pr 7.573 7.086 3.439
Pr 5.911 11.323 9.953
Pr 3.832 1.133 3.219
Pr 5.332 11.286 0.030
Pr 5.230 3.037 0.270
Pr 3.114 3.003 6.661
Pr 4.514 9.418 12.901
Pr 2.176 9.108 9.875
Pr 6.630 9.453 6.510
Pr 2.104 1.092 9.926
Pr 3.168 11.362 6.294
Pr 3.138 7.391 6.524
Pr 4.450 9.303 3.312
Pr 4.125 5.217 3.308
Pr 1.868 5.105 0.033
Pr 4.412 1.169 13.142
Pr 7.640 11.363 3.246
```

## Properties
Symmetry: P-1
VASP energy, eV/cell: -521.97

Below is an optimized crystal structure of MgAl2O4, with properties calculated at the GGA-PBE level.

Cell and atoms, written as extended XYZ:
```
42
Lattice="-4.237 -3.520 1.696 4.186 -1.975 -3.434 7.612 -3.674 11.391" Properties=species:S:1:pos:R:3 pbc="T T T"
Mg 8.648 -5.998 9.154
Mg 3.626 -5.445 7.551
Mg 2.877 -1.388 4.305
Mg 4.729 -2.282 7.076
Mg 7.601 -3.668 11.374
Mg 0.783 -4.072 3.296
Al 1.672 -6.317 5.671
Al 3.754 -4.587 4.837
Al 1.697 -3.617 6.525
Al 5.629 -7.350 8.601
Al 1.954 -4.587 0.183
Al 3.932 -3.722 2.097
Al 5.656 -4.524 9.495
Al 3.477 -6.334 10.367
Al 6.816 -5.114 6.413
Al -1.098 -3.165 0.481
Al 1.979 -1.881 1.039
Al 4.040 -2.854 -0.652
O 5.512 -6.355 10.373
O 3.573 -3.713 6.490
O 5.786 -2.792 8.658
O 3.963 -5.358 3.075
O 3.985 -2.948 3.838
O 3.549 -6.250 5.687
O -2.165 -3.602 1.896
O 1.617 -5.338 7.273
O 3.886 -2.066 1.089
O 1.818 -4.572 4.845
O 7.533 -4.473 9.535
O -0.007 -1.810 1.032
O 5.821 -3.814 2.331
O 2.111 -2.843 -0.629
O 7.506 -7.446 8.594
O 5.817 -4.632 4.918
O 3.656 -7.230 8.614
O 3.864 -4.497 0.320
O 1.774 -0.856 2.655
O -0.033 -4.608 0.147
O 9.798 -5.541 7.677
O 3.680 -4.596 9.447
O 5.687 -5.543 7.801
O 2.012 -3.623 1.839
```

## Properties
Symmetry: P3m1
VASP energy, eV/cell: -297.40

Below is an optimized crystal structure of LiH4SeNO4, with properties calculated at the GGA-PBE level.

Cell and atoms, written as extended XYZ:
```
44
Lattice="-0.281 -0.856 -5.099 4.618 -2.850 0.223 -9.172 -14.629 2.961" Properties=species:S:1:pos:R:3 pbc="T T T"
H 1.120 -8.635 -2.883
H -4.596 -15.591 -2.387
H -0.215 -7.884 -2.212
H -4.578 -10.322 1.067
H -5.662 -14.594 -1.508
H -0.349 -2.787 -0.430
H -0.380 -3.171 -2.074
H -5.990 -9.806 0.335
H -0.849 -4.335 -0.900
H -4.025 -14.117 -1.712
H -0.183 -8.169 -3.876
H -4.793 -10.593 -0.585
H -4.444 -15.419 -0.714
H -5.704 -11.483 0.568
H 0.830 -6.968 -3.180
H 0.792 -3.847 -1.039
O -2.066 -5.399 -0.299
O 2.552 -2.892 -3.466
O -6.153 -13.022 1.205
O -3.871 -10.496 -2.247
O -3.686 -7.530 0.286
O 1.317 -5.314 -3.129
O -0.994 -7.929 -0.208
O -2.130 -10.965 0.996
O -0.588 -2.378 -3.791
O -7.406 -14.476 -0.753
O -2.770 -12.937 -1.625
O 2.608 -3.744 -0.478
O -1.135 -10.761 -1.942
O -7.373 -15.400 1.810
O -4.277 -16.048 1.336
O -2.668 -7.255 -2.227
Se -2.350 -7.005 -0.597
Se -7.438 -14.010 0.859
Se -2.548 -11.521 -2.457
Se 2.539 -4.516 -3.914
Li 1.197 -1.638 -4.285
Li -3.973 -8.593 -2.833
Li -0.922 -9.921 -0.149
Li -6.091 -16.876 1.303
N -4.681 -14.927 -1.590
N -0.198 -3.541 -1.119
N -5.270 -10.555 0.338
N 0.391 -7.912 -3.047
```

## Properties
Symmetry: Pna2_1
VASP energy, eV/cell: -228.38

Below is an optimized crystal structure of CaIn4Ge4O14, with properties calculated at the GGA-PBE level.

Cell and atoms, written as extended XYZ:
```
23
Lattice="1.941 6.319 3.457 -4.267 6.119 -0.051 -3.513 2.538 6.072" Properties=species:S:1:pos:R:3 pbc="T T T"
O -2.909 10.295 8.817
O -3.592 9.216 5.832
O -1.462 6.637 6.547
O -2.548 2.728 4.353
O -4.463 8.533 3.029
O -5.175 6.517 4.449
O -0.712 8.654 5.149
O -1.913 8.779 2.884
O -4.007 6.369 6.729
O -3.351 12.396 5.224
O -2.991 4.835 0.752
O 0.660 4.952 2.815
O -6.551 10.177 6.759
O -2.184 5.603 3.546
In -1.094 5.748 1.608
In -0.751 4.121 4.390
In -2.871 7.366 4.661
In -3.572 4.030 2.797
Ge -0.072 0.184 0.116
Ge -2.145 3.121 0.039
Ge -1.773 1.355 3.061
Ge 0.918 3.220 1.770
Ca -4.306 11.047 6.990
```

## Properties
Symmetry: R3m
VASP energy, eV/cell: -134.48

Below is an optimized crystal structure of Mg14FeBi, with properties calculated at the GGA-PBE level.

Cell and atoms, written as extended XYZ:
```
16
Lattice="-2.366 3.376 -4.767 -3.863 -2.511 4.350 0.807 8.525 5.638" Properties=species:S:1:pos:R:3 pbc="T T T"
Mg -3.019 2.630 3.366
Mg -4.297 5.481 3.980
Mg -2.609 6.967 6.234
Mg -2.353 5.555 -1.189
Mg -1.939 9.926 1.701
Mg -3.116 3.802 6.350
Mg -1.177 5.054 4.180
Mg -4.217 4.383 1.093
Mg -2.773 2.483 -1.028
Mg -3.824 8.531 3.837
Mg -0.750 8.175 4.141
Mg -1.161 3.839 1.273
Mg -2.352 6.746 1.789
Mg -4.703 1.228 1.147
Bi -3.486 -0.477 3.552
Fe -1.599 0.800 1.350
```

## Properties
Symmetry: Amm2
VASP energy, eV/cell: -33.75

Below is an optimized crystal structure of Nb2RuW, with properties calculated at the GGA-PBE level.

Cell and atoms, written as extended XYZ:
```
4
Lattice="0.000 3.216 3.216 3.216 0.000 3.216 3.216 3.216 0.000" Properties=species:S:1:pos:R:3 pbc="T T T"
Ru 3.216 3.216 3.216
Nb 4.824 4.824 4.824
Nb 1.608 1.608 1.608
W 0.000 0.000 0.000
```

## Properties
Symmetry: Fm-3m
VASP energy, eV/cell: -43.02

Below is an optimized crystal structure of BaTaF7, with properties calculated at the GGA-PBE level.

Cell and atoms, written as extended XYZ:
```
72
Lattice="10.113 0.000 0.000 0.000 10.113 0.000 0.000 0.000 10.113" Properties=species:S:1:pos:R:3 pbc="T T T"
Ta 2.790 7.324 2.267
Ta 2.267 2.267 2.267
Ta 7.846 7.324 2.790
Ta 7.324 2.267 2.790
Ta 2.790 7.846 7.324
Ta 7.324 2.790 7.846
Ta 2.267 2.790 7.324
Ta 7.846 7.846 7.846
F 6.719 8.452 1.662
F 7.295 9.076 6.441
F 6.441 7.295 9.076
F 5.637 3.874 7.503
F 8.452 1.662 6.719
F 1.183 2.446 5.637
F 1.384 7.295 6.094
F 4.477 6.239 2.610
F 2.446 5.637 1.183
F 3.673 2.818 1.037
F 8.729 2.818 4.020
F 3.874 7.667 0.580
F 2.239 6.094 3.673
F 6.441 7.875 4.020
F 6.719 6.719 6.719
F 9.533 6.239 2.446
F 2.818 4.020 8.729
F 5.637 1.183 2.446
F 7.875 1.037 1.384
F 9.076 8.729 2.239
F 7.875 4.020 6.441
F 9.076 6.441 7.295
F 1.384 7.875 1.037
F 7.667 4.477 8.931
F 7.295 6.094 1.384
F 3.673 2.239 6.094
F 9.533 8.931 7.503
F 4.020 8.729 2.818
F 0.580 3.874 7.667
F 8.729 2.239 9.076
F 2.818 1.037 3.673
F 3.874 7.503 5.637
F 3.395 1.662 8.452
F 3.395 3.395 3.395
F 2.610 4.477 6.239
F 6.239 2.446 9.533
F 8.931 7.503 9.533
F 4.477 8.931 7.667
F 7.503 9.533 8.931
F 8.931 7.667 4.477
F 1.183 2.610 0.580
F 6.094 3.673 2.239
F 1.037 3.673 2.818
F 8.452 3.395 1.662
F 6.239 2.610 4.477
F 2.610 0.580 1.183
F 6.094 1.384 7.295
F 1.662 8.452 3.395
F 1.037 1.384 7.875
F 1.662 6.719 8.452
F 2.239 9.076 8.729
F 0.580 1.183 2.610
F 7.503 5.637 3.874
F 4.020 6.441 7.875
F 7.667 0.580 3.874
F 2.446 9.533 6.239
Ba 5.057 5.057 0.000
Ba 5.057 5.057 5.057
Ba 5.057 0.000 0.000
Ba 5.057 0.000 5.057
Ba 0.000 5.057 5.057
Ba 0.000 5.057 0.000
Ba 0.000 0.000 5.057
Ba 0.000 0.000 0.000
```

## Properties
Symmetry: Pa-3
VASP energy, eV/cell: -469.75

Below is an optimized crystal structure of BeSiOs2, with properties calculated at the GGA-PBE level.

Cell and atoms, written as extended XYZ:
```
4
Lattice="0.000 2.886 2.886 2.886 0.000 2.886 2.886 2.886 0.000" Properties=species:S:1:pos:R:3 pbc="T T T"
Os 4.329 4.329 4.329
Os 1.443 1.443 1.443
Be 2.886 2.886 2.886
Si 0.000 0.000 0.000
```

## Properties
Symmetry: Fm-3m
VASP energy, eV/cell: -32.80

Below is an optimized crystal structure of Y4GeS3, with properties calculated at the GGA-PBE level.

Cell and atoms, written as extended XYZ:
```
8
Lattice="0.515 3.549 1.811 -0.196 -0.200 -4.008 -12.986 0.324 -1.395" Properties=species:S:1:pos:R:3 pbc="T T T"
S -9.652 0.967 -3.604
S -6.333 1.836 -1.796
S -3.014 2.706 0.012
Ge 0.000 0.000 0.000
Y -11.089 2.423 -1.593
Y -7.607 3.273 0.208
Y -1.578 1.249 -1.999
Y -5.059 0.400 -3.800
```

## Properties
Symmetry: R-3m
VASP energy, eV/cell: -56.67